Record 1
The following is a DFT calculation (PBE+U) of a relaxed LiCoAsO4 crystal.

Unit cell a=10.5987 b=6.0496 c=4.9643 alpha=90.00 beta=90.00 gamma=90.00
Positions (direct):
1 Li 0.0000 0.0000 0.0000
2 Li 0.0000 0.5000 0.0000
3 Li 0.5000 0.0000 0.5000
4 Li 0.5000 0.5000 0.5000
5 Co 0.2228 0.2500 0.4944
6 Co 0.2772 0.7500 0.9944
7 Co 0.7228 0.2500 0.0056
8 Co 0.7772 0.7500 0.5056
9 As 0.0955 0.7500 0.4380
10 As 0.4045 0.2500 0.9380
11 As 0.5955 0.7500 0.0620
12 As 0.9045 0.2500 0.5620
13 O 0.0527 0.2500 0.7068
14 O 0.0959 0.7500 0.7821
15 O 0.1719 0.5301 0.2794
16 O 0.1719 0.9699 0.2794
17 O 0.3281 0.0301 0.7794
18 O 0.3281 0.4699 0.7794
19 O 0.4041 0.2500 0.2821
20 O 0.4473 0.7500 0.2068
21 O 0.5527 0.2500 0.7932
22 O 0.5959 0.7500 0.7179
23 O 0.6719 0.5301 0.2206
24 O 0.6719 0.9699 0.2206
25 O 0.8281 0.0301 0.7206
26 O 0.8281 0.4699 0.7206
27 O 0.9041 0.2500 0.2179
28 O 0.9473 0.7500 0.2932

Output
magnetic moment	0.000	μB per atom
offset from the most stable computed form	0.00	eV/f.u.

Record 2
The following is a DFT calculation (PBE+U) of a relaxed LiCoAsO4 crystal.

Unit cell a=4.9443 b=6.0625 c=10.3857 alpha=89.69 beta=89.36 gamma=89.98
Positions (direct):
1 Li 0.0000 0.0000 0.0000
2 Li 0.0000 0.4969 0.0005
3 Li 0.5040 0.4955 0.5043
4 Li 0.5040 0.9983 0.5048
5 Co 0.0144 0.7481 0.2776
6 Co 0.4865 0.7483 0.7755
7 Co 0.5115 0.2471 0.2279
8 Co 0.9865 0.2469 0.7276
9 As 0.0638 0.2474 0.4122
10 As 0.4337 0.2511 0.9044
11 As 0.5586 0.7480 0.0966
12 As 0.9410 0.7442 0.5966
13 O 0.2060 0.2457 0.5640
14 O 0.2110 0.7481 0.1016
15 O 0.2256 0.0294 0.3340
16 O 0.2256 0.4672 0.3343
17 O 0.2726 0.0330 0.8281
18 O 0.2761 0.4762 0.8320
19 O 0.2880 0.7466 0.5999
20 O 0.2911 0.2468 0.0565
21 O 0.6969 0.7495 0.9427
22 O 0.7171 0.5268 0.1725
23 O 0.7173 0.9675 0.1728
24 O 0.7194 0.2472 0.4114
25 O 0.7750 0.9612 0.6730
26 O 0.7789 0.5207 0.6693
27 O 0.7814 0.2487 0.9018
28 O 0.8051 0.7485 0.4433

Output
magnetic moment	0.429	μB per atom
offset from the most stable computed form	0.11	eV/f.u.

Record 3
The following is a DFT calculation (PBE+U) of a relaxed LiCoAsO4 crystal.

Unit cell a=5.8648 b=5.8648 c=10.0770 alpha=106.57 beta=106.57 gamma=61.56
Positions (direct):
1 Li 0.0000 0.0000 0.0000
2 Li 0.2505 0.2505 0.2497
3 Li 0.5000 0.5000 0.5000
4 Li 0.7495 0.7495 0.7503
5 Co 0.0000 0.5000 0.0000
6 Co 0.0000 0.5000 0.5000
7 Co 0.5000 0.0000 0.0000
8 Co 0.5000 0.0000 0.5000
9 As 0.0653 0.0653 0.6845
10 As 0.4348 0.4348 0.8152
11 As 0.5652 0.5652 0.1848
12 As 0.9347 0.9347 0.3155
13 O 0.1160 0.6368 0.3738
14 O 0.1195 0.1195 0.3741
15 O 0.1243 0.1243 0.8694
16 O 0.1365 0.6163 0.8736
17 O 0.3632 0.8840 0.6262
18 O 0.3773 0.3773 0.6313
19 O 0.3813 0.3813 0.1274
20 O 0.3837 0.8635 0.1264
21 O 0.6163 0.1365 0.8736
22 O 0.6187 0.6187 0.8726
23 O 0.6227 0.6227 0.3687
24 O 0.6368 0.1160 0.3738
25 O 0.8635 0.3837 0.1264
26 O 0.8757 0.8757 0.1306
27 O 0.8805 0.8805 0.6259
28 O 0.8840 0.3632 0.6262

Output
magnetic moment	0.000	μB per atom
offset from the most stable computed form	0.13	eV/f.u.

Record 4
The following is a DFT calculation (PBE+U) of a relaxed Mg3Co3As4O16 crystal.

Unit cell a=8.6764 b=5.1598 c=16.0504 alpha=90.00 beta=112.28 gamma=90.00
Positions (direct):
1 Mg 0.0000 0.0000 0.0000
2 Mg 0.0000 0.5000 0.5000
3 Mg 0.3120 0.0455 0.2878
4 Mg 0.3120 0.4545 0.7878
5 Mg 0.6880 0.5455 0.2122
6 Mg 0.6880 0.9545 0.7122
7 Co 0.2035 0.5096 0.3750
8 Co 0.2035 0.9904 0.8750
9 Co 0.5000 0.0000 0.5000
10 Co 0.5000 0.5000 0.0000
11 Co 0.7965 0.0096 0.1250
12 Co 0.7965 0.4904 0.6250
13 As 0.0374 0.0085 0.6485
14 As 0.0374 0.4915 0.1485
15 As 0.4175 0.5031 0.6034
16 As 0.4175 0.9969 0.1034
17 As 0.5825 0.0031 0.8966
18 As 0.5825 0.4969 0.3966
19 As 0.9626 0.5085 0.8515
20 As 0.9626 0.9915 0.3515
21 O 0.0221 0.6758 0.6320
22 O 0.0221 0.8242 0.1320
23 O 0.0882 0.1758 0.5730
24 O 0.0882 0.3242 0.0730
25 O 0.1536 0.6061 0.8475
26 O 0.1536 0.8939 0.3475
27 O 0.1898 0.0955 0.7526
28 O 0.1898 0.4045 0.2526
29 O 0.2441 0.5562 0.5082
30 O 0.2441 0.9438 0.0082
31 O 0.3995 0.5910 0.6999
32 O 0.3995 0.9090 0.1999
33 O 0.4289 0.2141 0.9078
34 O 0.4289 0.2859 0.4078
35 O 0.4889 0.7041 0.8925
36 O 0.4889 0.7959 0.3925
37 O 0.5111 0.2041 0.6075
38 O 0.5111 0.2959 0.1075
39 O 0.5711 0.7141 0.5922
40 O 0.5711 0.7859 0.0922
41 O 0.6005 0.0910 0.8001
42 O 0.6005 0.4090 0.3001
43 O 0.7559 0.0562 0.9918
44 O 0.7559 0.4438 0.4918
45 O 0.8102 0.5955 0.7474
46 O 0.8102 0.9045 0.2474
47 O 0.8464 0.1061 0.6525
48 O 0.8464 0.3939 0.1525
49 O 0.9118 0.6758 0.9270
50 O 0.9118 0.8242 0.4270
51 O 0.9779 0.1758 0.8680
52 O 0.9779 0.3242 0.3680

Output
magnetic moment	0.346	μB per atom

Record 5
The following is a DFT calculation (PBE+U) of a relaxed MgCoAsO5 crystal.

Unit cell a=5.8478 b=7.6475 c=8.4891 alpha=90.00 beta=90.00 gamma=90.00
Positions (direct):
1 Mg 0.0556 0.1548 0.3255
2 Mg 0.4444 0.8452 0.8255
3 Mg 0.5556 0.3452 0.6745
4 Mg 0.9444 0.6548 0.1745
5 Co 0.2425 0.7573 0.5002
6 Co 0.2575 0.2427 0.0002
7 Co 0.7425 0.7427 0.4998
8 Co 0.7575 0.2573 0.9998
9 As 0.0254 0.1100 0.6792
10 As 0.4746 0.8900 0.1792
11 As 0.5254 0.3900 0.3208
12 As 0.9746 0.6100 0.8208
13 O 0.0022 0.6367 0.4109
14 O 0.0182 0.4283 0.9406
15 O 0.1177 0.2640 0.5484
16 O 0.2268 0.6571 0.7255
17 O 0.2447 0.0750 0.8112
18 O 0.2553 0.9250 0.3112
19 O 0.2732 0.3429 0.2255
20 O 0.3823 0.7360 0.0484
21 O 0.4818 0.5717 0.4406
22 O 0.4978 0.3633 0.9109
23 O 0.5022 0.8633 0.5891
24 O 0.5182 0.0717 0.0594
25 O 0.6177 0.2360 0.4516
26 O 0.7268 0.8429 0.2745
27 O 0.7447 0.4250 0.1888
28 O 0.7553 0.5750 0.6888
29 O 0.7732 0.1571 0.7745
30 O 0.8823 0.7640 0.9516
31 O 0.9818 0.9283 0.5594
32 O 0.9978 0.1367 0.0891

Output
magnetic moment	0.250	μB per atom

Record 6
The following is a DFT calculation (PBE+U) of a relaxed NaCo2As3O10 crystal.

Unit cell a=6.9667 b=7.8979 c=8.8360 alpha=107.27 beta=108.86 gamma=100.66
Positions (direct):
1 Na 0.2455 0.1953 0.0491
2 Na 0.7545 0.8047 0.9509
3 Co 0.0479 0.8515 0.3627
4 Co 0.3892 0.6679 0.5611
5 Co 0.6108 0.3321 0.4389
6 Co 0.9521 0.1485 0.6373
7 As 0.0463 0.2446 0.3337
8 As 0.2642 0.5756 0.8793
9 As 0.4859 0.1241 0.7066
10 As 0.5141 0.8759 0.2934
11 As 0.7358 0.4244 0.1207
12 As 0.9537 0.7554 0.6663
13 O 0.0206 0.0181 0.2249
14 O 0.0659 0.6980 0.5190
15 O 0.1023 0.7230 0.8612
16 O 0.1226 0.3743 0.8722
17 O 0.2262 0.1004 0.5842
18 O 0.2968 0.3908 0.3973
19 O 0.3436 0.7873 0.3743
20 O 0.4087 0.5794 0.7591
21 O 0.4710 0.7017 0.0901
22 O 0.4761 0.0638 0.2475
23 O 0.5239 0.9362 0.7525
24 O 0.5290 0.2983 0.9099
25 O 0.5913 0.4206 0.2409
26 O 0.6564 0.2127 0.6257
27 O 0.7032 0.6092 0.6027
28 O 0.7738 0.8996 0.4158
29 O 0.8774 0.6257 0.1278
30 O 0.8977 0.2770 0.1388
31 O 0.9341 0.3020 0.4810
32 O 0.9794 0.9819 0.7751

Output
magnetic moment	0.375	μB per atom

Record 7
The following is a DFT calculation (PBE+U) of a relaxed CoAs2O4 crystal.

Unit cell a=8.4571 b=8.4571 c=5.7819 alpha=90.00 beta=90.00 gamma=90.00
Positions (direct):
1 Co 0.0000 0.5000 0.2500
2 Co 0.0000 0.5000 0.7500
3 Co 0.5000 0.0000 0.2500
4 Co 0.5000 0.0000 0.7500
5 As 0.1726 0.1881 0.0000
6 As 0.1881 0.8274 0.5000
7 As 0.3119 0.3274 0.5000
8 As 0.3274 0.6881 0.0000
9 As 0.6726 0.3119 0.0000
10 As 0.6881 0.6726 0.5000
11 As 0.8119 0.1726 0.5000
12 As 0.8274 0.8119 0.0000
13 O 0.1063 0.3617 0.5000
14 O 0.1383 0.3937 0.0000
15 O 0.1827 0.6827 0.2500
16 O 0.1827 0.6827 0.7500
17 O 0.3173 0.1827 0.2500
18 O 0.3173 0.1827 0.7500
19 O 0.3617 0.8937 0.0000
20 O 0.3937 0.8617 0.5000
21 O 0.6063 0.1383 0.5000
22 O 0.6383 0.1063 0.0000
23 O 0.6827 0.8173 0.2500
24 O 0.6827 0.8173 0.7500
25 O 0.8173 0.3173 0.2500
26 O 0.8173 0.3173 0.7500
27 O 0.8617 0.6063 0.0000
28 O 0.8937 0.6383 0.5000

Record 8
The following is a DFT calculation (PBE+U) of a relaxed Co3As2O8 crystal.

Unit cell a=7.5024 b=7.7131 c=9.7104 alpha=110.80 beta=107.95 gamma=92.16
Positions (direct):
1 Co 0.0000 0.0000 0.0000
2 Co 0.0200 0.5878 0.6286
3 Co 0.1284 0.7670 0.4243
4 Co 0.3339 0.3623 0.2957
5 Co 0.3928 0.5185 0.9378
6 Co 0.6613 0.1689 0.7706
7 Co 0.7104 0.2155 0.4460
8 Co 0.7350 0.8230 0.1061
9 Co 0.9611 0.0122 0.6868
10 As 0.0287 0.5543 0.0966
11 As 0.1828 0.2562 0.5505
12 As 0.3641 0.8952 0.8136
13 As 0.6445 0.5858 0.7449
14 As 0.6502 0.7396 0.3384
15 As 0.6659 0.2493 0.1112
16 O 0.1116 0.8795 0.8109
17 O 0.1146 0.5017 0.2700
18 O 0.1647 0.0456 0.5789
19 O 0.1931 0.4268 0.7309
20 O 0.2010 0.1118 0.1568
21 O 0.2395 0.5813 0.0613
22 O 0.2522 0.7051 0.6187
23 O 0.3712 0.2987 0.4946
24 O 0.4202 0.1442 0.9531
25 O 0.4725 0.7774 0.9384
26 O 0.4751 0.6731 0.3932
27 O 0.5475 0.9409 0.7412
28 O 0.5868 0.2990 0.2745
29 O 0.6003 0.4090 0.8265
30 O 0.6420 0.5991 0.1426
31 O 0.6592 0.9384 0.2890
32 O 0.7577 0.1047 0.5990
33 O 0.7800 0.4813 0.6263
34 O 0.7961 0.0564 0.1010
35 O 0.8345 0.7352 0.9300
36 O 0.8750 0.7540 0.4787
37 O 0.9230 0.1492 0.8724
38 O 0.9744 0.2989 0.4398
39 O 0.9949 0.7907 0.2176

Output
magnetic moment	0.641	μB per atom
offset from the most stable computed form	2.98	eV/f.u.

Record 9
The following is a DFT calculation (PBE+U) of a relaxed Co3As2O8 crystal.

Unit cell a=5.9087 b=9.8052 c=10.4586 alpha=90.00 beta=93.26 gamma=90.00
Positions (direct):
1 Co 0.1112 0.1341 0.4641
2 Co 0.1112 0.3659 0.9641
3 Co 0.3534 0.1379 0.2158
4 Co 0.3534 0.3621 0.7158
5 Co 0.3587 0.6235 0.5591
6 Co 0.3587 0.8765 0.0591
7 Co 0.6413 0.1235 0.9409
8 Co 0.6413 0.3765 0.4409
9 Co 0.6466 0.6379 0.2842
10 Co 0.6466 0.8621 0.7842
11 Co 0.8888 0.6341 0.0359
12 Co 0.8888 0.8659 0.5359
13 As 0.1258 0.0567 0.7947
14 As 0.1258 0.4433 0.2947
15 As 0.3685 0.6554 0.8821
16 As 0.3685 0.8446 0.3821
17 As 0.6315 0.1554 0.6179
18 As 0.6315 0.3446 0.1179
19 As 0.8742 0.5567 0.7053
20 As 0.8742 0.9433 0.2053
21 O 0.1122 0.0046 0.1338
22 O 0.1122 0.4954 0.6338
23 O 0.1176 0.0090 0.6354
24 O 0.1176 0.4910 0.1354
25 O 0.1321 0.2331 0.8056
26 O 0.1321 0.2669 0.3056
27 O 0.1592 0.7302 0.9679
28 O 0.1592 0.7698 0.4679
29 O 0.3672 0.0198 0.3816
30 O 0.3672 0.4802 0.8816
31 O 0.3714 0.5112 0.3764
32 O 0.3714 0.9888 0.8764
33 O 0.3866 0.7234 0.7303
34 O 0.3866 0.7766 0.2303
35 O 0.3972 0.2443 0.5467
36 O 0.3972 0.2557 0.0467
37 O 0.6028 0.7443 0.9533
38 O 0.6028 0.7557 0.4533
39 O 0.6134 0.2234 0.7697
40 O 0.6134 0.2766 0.2697
41 O 0.6286 0.0112 0.1236
42 O 0.6286 0.4888 0.6236
43 O 0.6328 0.5198 0.1184
44 O 0.6328 0.9802 0.6184
45 O 0.8408 0.2302 0.5321
46 O 0.8408 0.2698 0.0321
47 O 0.8679 0.7331 0.6944
48 O 0.8679 0.7669 0.1944
49 O 0.8824 0.5090 0.8646
50 O 0.8824 0.9910 0.3646
51 O 0.8878 0.5046 0.3662
52 O 0.8878 0.9954 0.8662

Output
offset from the most stable computed form	0.00	eV/f.u.

Record 10
The following is a DFT calculation (PBE+U) of a relaxed Co3As2O8 crystal.

Unit cell a=6.5383 b=8.6640 c=11.3126 alpha=90.00 beta=91.02 gamma=90.00
Positions (direct):
1 Co 0.1091 0.1695 0.0549
2 Co 0.1091 0.3305 0.5549
3 Co 0.2398 0.6660 0.6414
4 Co 0.2398 0.8340 0.1414
5 Co 0.3904 0.0548 0.6256
6 Co 0.3904 0.4452 0.1257
7 Co 0.6096 0.5548 0.8744
8 Co 0.6096 0.9452 0.3744
9 Co 0.7602 0.1660 0.8586
10 Co 0.7602 0.3340 0.3586
11 Co 0.8909 0.6695 0.4451
12 Co 0.8909 0.8305 0.9451
13 As 0.1008 0.0460 0.3556
14 As 0.1008 0.4540 0.8556
15 As 0.3935 0.5875 0.3659
16 As 0.3935 0.9125 0.8659
17 As 0.6065 0.0875 0.1341
18 As 0.6065 0.4125 0.6341
19 As 0.8992 0.5460 0.1444
20 As 0.8992 0.9540 0.6444
21 O 0.0359 0.2334 0.3961
22 O 0.0359 0.2666 0.8961
23 O 0.0792 0.0957 0.6166
24 O 0.0792 0.4043 0.1166
25 O 0.1329 0.0404 0.2043
26 O 0.1329 0.4596 0.7043
27 O 0.1994 0.5708 0.4705
28 O 0.1994 0.9292 0.9705
29 O 0.2961 0.6433 0.2302
30 O 0.2961 0.8567 0.7302
31 O 0.3271 0.5020 0.9281
32 O 0.3271 0.9980 0.4281
33 O 0.4246 0.2143 0.0779
34 O 0.4246 0.2857 0.5779
35 O 0.4754 0.0932 0.8246
36 O 0.4754 0.4068 0.3246
37 O 0.5246 0.5932 0.6754
38 O 0.5246 0.9068 0.1754
39 O 0.5754 0.7143 0.4221
40 O 0.5754 0.7857 0.9221
41 O 0.6729 0.0020 0.5719
42 O 0.6729 0.4980 0.0719
43 O 0.7039 0.1433 0.2698
44 O 0.7039 0.3567 0.7698
45 O 0.8006 0.0708 0.0295
46 O 0.8006 0.4292 0.5295
47 O 0.8671 0.5404 0.2957
48 O 0.8671 0.9596 0.7957
49 O 0.9208 0.5957 0.8834
50 O 0.9208 0.9043 0.3834
51 O 0.9641 0.7334 0.1039
52 O 0.9641 0.7666 0.6039

Output
magnetic moment	0.692	μB per atom
offset from the most stable computed form	0.03	eV/f.u.

Asked for VASP energy across the records above, the calculation gives -5.98; -5.97; -5.96; -6.11; -5.99; -5.98; -6.08; -5.93; -6.16; -6.16 eV per atom in order.
Asked for energy relative to the elements across the records above, the calculation gives -1.8279; -1.8115; -1.8099; -1.9554; -1.8616; -1.6776; -1.5292; -1.3308; -1.5596; -1.5569 eV per atom in order.